P.
DFT (GGA+U) results for Li7Co5O12 after structural relaxation.

abc: 5.111 5.848 7.621
angles: 100.17 108.75 90.01
Positions (direct):
Li  0.000  0.000  0.000
Li  0.495  0.754  0.999
Li  0.496  0.587  0.334
Li  0.499  0.921  0.664
Li  0.501  0.079  0.336
Li  0.504  0.413  0.666
Li  0.505  0.246  0.001
Co  0.000  0.326  0.331
Co  0.000  0.500  0.000
Co  0.000  0.674  0.669
Co  0.010  0.160  0.677
Co  0.990  0.840  0.323
O  0.215  0.312  0.165
O  0.219  0.765  0.157
O  0.222  0.628  0.500
O  0.228  0.458  0.839
O  0.236  0.122  0.491
O  0.241  0.962  0.819
O  0.759  0.038  0.181
O  0.764  0.878  0.509
O  0.772  0.542  0.161
O  0.778  0.372  0.500
O  0.781  0.235  0.843
O  0.785  0.688  0.835

Output
* symmetry: P-1 (2)

Q.
DFT (GGA+U) results for Li7Co5O12 after structural relaxation.

abc: 5.777 5.827 6.571
angles: 103.18 102.59 90.52
Positions (direct):
Li  0.000  0.000  0.000
Li  0.000  0.500  0.000
Li  0.165  0.168  0.673
Li  0.327  0.832  0.323
Li  0.500  0.500  0.000
Li  0.673  0.168  0.677
Li  0.835  0.832  0.327
Co  0.164  0.673  0.669
Co  0.327  0.326  0.325
Co  0.500  0.000  0.000
Co  0.673  0.674  0.675
Co  0.836  0.327  0.331
O  0.082  0.577  0.334
O  0.091  0.110  0.341
O  0.267  0.766  0.989
O  0.276  0.233  0.014
O  0.418  0.441  0.654
O  0.419  0.923  0.689
O  0.581  0.077  0.311
O  0.582  0.559  0.346
O  0.724  0.767  0.986
O  0.733  0.234  0.011
O  0.909  0.890  0.659
O  0.918  0.423  0.666

Output
* symmetry: P-1 (2)

R.
DFT (GGA+U) results for Li7Co5O12 after structural relaxation.

abc: 5.063 2.993 14.215
angles: 90.00 93.10 90.00
Positions (direct):
Li  0.000  0.000  0.000
Li  0.000  0.000  0.500
Li  0.169  0.500  0.168
Li  0.330  0.000  0.333
Li  0.500  0.500  0.500
Li  0.670  0.000  0.667
Li  0.831  0.500  0.832
Co  0.167  0.500  0.659
Co  0.321  0.000  0.832
Co  0.500  0.500  0.000
Co  0.679  0.000  0.168
Co  0.833  0.500  0.341
O  0.017  0.000  0.750
O  0.129  0.500  0.407
O  0.181  0.500  0.918
O  0.326  0.000  0.589
O  0.360  0.000  0.085
O  0.461  0.500  0.747
O  0.539  0.500  0.253
O  0.640  0.000  0.915
O  0.674  0.000  0.411
O  0.819  0.500  0.082
O  0.871  0.500  0.593
O  0.983  0.000  0.250

Output
* symmetry: P2/m (10)

Stability order, top to bottom: Q, P, R

P.
DFT (GGA+U) results for Mn5O3F5 after structural relaxation.

abc: 10.986 10.986 10.986
angles: 34.04 34.04 34.04
Positions (direct):
Mn  0.000  0.000  0.000
Mn  0.195  0.195  0.195
Mn  0.242  0.242  0.746
Mn  0.242  0.746  0.242
Mn  0.247  0.742  0.742
Mn  0.499  0.499  0.499
Mn  0.695  0.695  0.695
Mn  0.742  0.247  0.742
Mn  0.742  0.742  0.247
Mn  0.746  0.242  0.242
O  0.350  0.890  0.890
O  0.393  0.393  0.846
O  0.393  0.846  0.393
O  0.846  0.393  0.393
O  0.890  0.350  0.890
O  0.890  0.890  0.350
F  0.091  0.091  0.668
F  0.091  0.668  0.091
F  0.123  0.123  0.123
F  0.165  0.592  0.592
F  0.376  0.376  0.376
F  0.592  0.165  0.592
F  0.592  0.592  0.165
F  0.624  0.624  0.624
F  0.668  0.091  0.091
F  0.876  0.876  0.876

Output
* symmetry: R3m (160)

Q.
DFT (GGA+U) results for Mn5O3F5 after structural relaxation.

abc: 6.372 6.372 11.078
angles: 106.05 106.05 61.02
Positions (direct):
Mn  0.001  0.471  0.992
Mn  0.002  0.998  0.500
Mn  0.242  0.756  0.255
Mn  0.402  0.893  0.804
Mn  0.471  0.001  0.492
Mn  0.504  0.514  0.505
Mn  0.514  0.504  0.005
Mn  0.756  0.242  0.755
Mn  0.893  0.402  0.304
Mn  0.998  0.002  0.000
O  0.093  0.124  0.876
O  0.124  0.093  0.376
O  0.368  0.833  0.604
O  0.577  0.627  0.386
O  0.627  0.577  0.886
O  0.833  0.368  0.104
F  0.100  0.623  0.370
F  0.175  0.612  0.905
F  0.353  0.855  0.120
F  0.369  0.414  0.110
F  0.414  0.369  0.610
F  0.612  0.175  0.405
F  0.623  0.100  0.870
F  0.825  0.923  0.609
F  0.855  0.353  0.620
F  0.923  0.825  0.109

Output
* symmetry: Cc (9)

Stability order, top to bottom: Q, P

P.
DFT (GGA+U) results for Mn5O3F5 after structural relaxation.

abc: 6.329 6.329 6.192
angles: 117.73 117.73 59.70
Positions (direct):
Mn  0.000  0.000  0.000
Mn  0.363  0.363  0.134
Mn  0.373  0.851  0.646
Mn  0.715  0.715  0.241
Mn  0.851  0.373  0.646
O  0.132  0.132  0.864
O  0.594  0.594  0.399
O  0.621  0.621  0.866
F  0.103  0.103  0.399
F  0.110  0.609  0.888
F  0.112  0.623  0.377
F  0.609  0.110  0.888
F  0.623  0.112  0.377

Output
* symmetry: Cm (8)

Q.
DFT (GGA+U) results for Mn5O3F5 after structural relaxation.

abc: 6.404 6.404 11.330
angles: 108.48 108.48 59.64
Positions (direct):
Mn  0.000  0.000  0.000
Mn  0.138  0.138  0.541
Mn  0.391  0.901  0.296
Mn  0.402  0.891  0.797
Mn  0.412  0.412  0.790
Mn  0.500  0.500  0.500
Mn  0.639  0.639  0.040
Mn  0.891  0.402  0.797
Mn  0.901  0.391  0.296
Mn  0.913  0.913  0.292
O  0.037  0.037  0.189
O  0.265  0.830  0.427
O  0.328  0.765  0.928
O  0.538  0.538  0.689
O  0.765  0.328  0.928
O  0.830  0.265  0.427
F  0.043  0.043  0.677
F  0.049  0.459  0.661
F  0.273  0.273  0.884
F  0.286  0.286  0.417
F  0.459  0.049  0.661
F  0.543  0.543  0.176
F  0.550  0.960  0.162
F  0.772  0.772  0.384
F  0.788  0.788  0.916
F  0.960  0.550  0.162

Output
* symmetry: Cm (8)

Stability order, top to bottom: Q, P

P.
DFT (GGA+U) results for MgFe3Co2SbP6O24 after structural relaxation.

abc: 8.721 8.725 8.735
angles: 89.96 60.16 60.02
Positions (direct):
Mg  0.000  0.000  0.000
Fe  0.206  0.398  0.191
Fe  0.244  0.878  0.634
Fe  0.755  0.122  0.365
Co  0.488  0.257  0.766
Co  0.490  0.754  0.264
Sb  0.790  0.605  0.814
P  0.007  0.296  0.996
P  0.294  0.494  0.499
P  0.300  0.697  0.996
P  0.701  0.003  0.995
P  0.713  0.792  0.497
P  0.997  0.211  0.497
O  0.054  0.596  0.679
O  0.069  0.279  0.332
O  0.088  0.866  0.167
O  0.123  0.130  0.826
O  0.171  0.326  0.986
O  0.192  0.016  0.454
O  0.304  0.746  0.825
O  0.319  0.400  0.334
O  0.337  0.504  0.987
O  0.337  0.646  0.454
O  0.438  0.354  0.554
O  0.485  0.681  0.008
O  0.517  0.158  0.985
O  0.562  0.790  0.453
O  0.653  0.991  0.551
O  0.670  0.734  0.679
O  0.673  0.834  0.007
O  0.698  0.047  0.167
O  0.802  0.206  0.551
O  0.825  0.493  0.008
O  0.879  0.255  0.168
O  0.917  0.349  0.678
O  0.920  0.950  0.825
O  0.947  0.652  0.333

Output
* symmetry: P1 (1)

Q.
DFT (GGA+U) results for MgFe3Co2SbP6O24 after structural relaxation.

abc: 8.710 8.721 8.734
angles: 60.07 60.14 60.14
Positions (direct):
Mg  0.000  0.000  0.000
Fe  0.122  0.122  0.121
Fe  0.242  0.242  0.241
Fe  0.516  0.515  0.515
Co  0.371  0.374  0.374
Co  0.873  0.870  0.865
Sb  0.722  0.721  0.722
P  0.123  0.418  0.812
P  0.323  0.909  0.618
P  0.419  0.813  0.121
P  0.619  0.322  0.909
P  0.813  0.122  0.417
P  0.910  0.619  0.322
O  0.068  0.252  0.865
O  0.108  0.475  0.324
O  0.128  0.914  0.771
O  0.169  0.385  0.977
O  0.252  0.867  0.065
O  0.277  0.445  0.619
O  0.324  0.107  0.475
O  0.385  0.978  0.168
O  0.387  0.767  0.529
O  0.444  0.619  0.275
O  0.465  0.849  0.717
O  0.475  0.323  0.106
O  0.531  0.387  0.766
O  0.616  0.796  0.952
O  0.619  0.275  0.444
O  0.718  0.465  0.850
O  0.767  0.530  0.386
O  0.773  0.128  0.915
O  0.797  0.952  0.614
O  0.850  0.717  0.465
O  0.866  0.067  0.251
O  0.916  0.772  0.128
O  0.953  0.616  0.795
O  0.978  0.169  0.384

Output
* symmetry: P1 (1)

R.
DFT (GGA+U) results for MgFe3Co2SbP6O24 after structural relaxation.

abc: 8.786 8.797 8.846
angles: 90.30 118.91 119.87
Positions (direct):
Mg  0.000  0.000  0.000
Fe  0.295  0.651  0.949
Fe  0.502  0.251  0.743
Fe  0.740  0.373  0.121
Co  0.032  0.512  0.531
Co  0.241  0.129  0.385
Sb  0.697  0.850  0.555
P  0.196  0.451  0.249
P  0.220  0.266  0.769
P  0.483  0.043  0.242
P  0.509  0.956  0.778
P  0.786  0.750  0.238
P  0.823  0.555  0.777
O  0.036  0.448  0.289
O  0.074  0.121  0.815
O  0.141  0.252  0.210
O  0.182  0.420  0.736
O  0.186  0.515  0.086
O  0.206  0.186  0.598
O  0.305  0.061  0.213
O  0.322  0.763  0.744
O  0.391  0.894  0.075
O  0.415  0.585  0.427
O  0.419  0.016  0.605
O  0.458  0.343  0.922
O  0.562  0.674  0.076
O  0.577  0.993  0.417
O  0.585  0.119  0.930
O  0.594  0.405  0.605
O  0.676  0.238  0.280
O  0.699  0.954  0.824
O  0.811  0.467  0.929
O  0.827  0.595  0.278
O  0.827  0.840  0.416
O  0.872  0.747  0.822
O  0.948  0.895  0.202
O  0.983  0.557  0.744

Output
* symmetry: P1 (1)

Stability order, top to bottom: P, R, Q

P.
DFT (GGA+U) results for TiFe2O4 after structural relaxation.

abc: 6.031 6.045 6.132
angles: 118.81 118.67 91.20
Positions (direct):
Ti  0.000  0.000  0.000
Ti  0.005  0.499  0.000
Fe  0.002  0.999  0.498
Fe  0.368  0.614  0.729
Fe  0.503  0.998  0.499
Fe  0.639  0.386  0.273
O  0.221  0.727  0.438
O  0.221  0.752  0.995
O  0.223  0.252  0.997
O  0.227  0.208  0.441
O  0.779  0.790  0.559
O  0.780  0.272  0.561
O  0.780  0.745  0.000
O  0.781  0.245  0.001

Output
* symmetry: P1 (1)

Q.
DFT (GGA+U) results for TiFe2O4 after structural relaxation.

abc: 9.970 2.949 9.933
angles: 90.00 90.00 90.00
Positions (direct):
Ti  0.069  0.000  0.130
Ti  0.431  0.000  0.130
Ti  0.569  0.000  0.870
Ti  0.931  0.000  0.870
Fe  0.075  0.500  0.627
Fe  0.250  0.000  0.390
Fe  0.250  0.500  0.876
Fe  0.425  0.500  0.627
Fe  0.575  0.500  0.373
Fe  0.750  0.000  0.610
Fe  0.750  0.500  0.124
Fe  0.925  0.500  0.373
O  0.000  0.000  0.500
O  0.000  0.500  0.000
O  0.110  0.000  0.790
O  0.114  0.500  0.259
O  0.250  0.000  0.044
O  0.250  0.500  0.535
O  0.386  0.500  0.259
O  0.390  0.000  0.790
O  0.500  0.000  0.500
O  0.500  0.500  0.000
O  0.610  0.000  0.210
O  0.614  0.500  0.741
O  0.750  0.000  0.956
O  0.750  0.500  0.465
O  0.886  0.500  0.741
O  0.890  0.000  0.210

Output
* symmetry: Pmma (51)

Stability order, top to bottom: P, Q